Record 1
Material: Pu2HgBi
Method: DFT, meta-GGA r2SCAN
State: relaxed

The calculation puts the total energy at -70.598 eV/atom. As for the total magnetization: 12.9 μB/cell. Its space-group type is Fm-3m, No. 225. For the formation energy, the calculation gives -43.64 kJ/mol of atoms.

Unit cell a=5.413 b=5.413 c=5.413 alpha=60.00 beta=60.00 gamma=60.00
Sites, in units of the cell vectors:
Pu 0.250 0.250 0.250
Pu 0.750 0.750 0.750
Hg 0.000 0.000 0.000
Bi 0.500 0.500 0.500

=====

Record 2
Material: Tb3SmNi4
Method: DFT, meta-GGA r2SCAN
State: relaxed

The calculation puts the total energy at -21.801 eV/atom. As for the total magnetization: 0.0 μB/cell. Its space-group type is Pmm2, No. 25. For the formation energy, the calculation gives -37.03 kJ/mol of atoms.

Unit cell a=3.732 b=4.214 c=10.212 alpha=90.00 beta=90.00 gamma=90.00
Sites, in units of the cell vectors:
Tb 0.000 0.000 0.000
Tb 0.000 0.500 0.275
Tb 0.500 0.500 0.780
Sm 0.500 0.000 0.501
Ni 0.000 0.000 0.714
Ni 0.000 0.500 0.571
Ni 0.500 0.000 0.208
Ni 0.500 0.500 0.068

=====

Record 3
Material: BeAl6O10
Method: DFT, meta-GGA r2SCAN
State: relaxed

The calculation puts the total energy at -9.460 eV/atom. As for the total magnetization: 0.0 μB/cell. Its space-group type is P2_1/c, No. 14. For the formation energy, the calculation gives -319.89 kJ/mol of atoms.

Unit cell a=8.916 b=13.803 c=9.543 alpha=90.00 beta=90.03 gamma=90.00
Sites, in units of the cell vectors:
Be 0.156 0.144 0.126
Be 0.156 0.356 0.626
Be 0.344 0.645 0.372
Be 0.344 0.855 0.872
Be 0.656 0.145 0.128
Be 0.656 0.355 0.628
Be 0.844 0.644 0.374
Be 0.844 0.856 0.874
Al 0.059 0.149 0.459
Al 0.059 0.351 0.959
Al 0.123 0.641 0.545
Al 0.123 0.859 0.045
Al 0.129 0.541 0.280
Al 0.129 0.959 0.780
Al 0.130 0.748 0.294
Al 0.130 0.752 0.794
Al 0.140 0.542 0.807
Al 0.140 0.958 0.307
Al 0.145 0.156 0.791
Al 0.145 0.344 0.291
Al 0.354 0.655 0.039
Al 0.354 0.845 0.539
Al 0.365 0.040 0.030
Al 0.365 0.460 0.530
Al 0.366 0.043 0.558
Al 0.366 0.457 0.058
Al 0.370 0.248 0.045
Al 0.370 0.252 0.545
Al 0.377 0.141 0.295
Al 0.377 0.359 0.795
Al 0.443 0.649 0.706
Al 0.443 0.851 0.206
Al 0.557 0.149 0.794
Al 0.557 0.351 0.294
Al 0.623 0.641 0.205
Al 0.623 0.859 0.705
Al 0.630 0.748 0.455
Al 0.630 0.752 0.955
Al 0.634 0.543 0.942
Al 0.634 0.957 0.442
Al 0.635 0.540 0.470
Al 0.635 0.960 0.970
Al 0.646 0.155 0.461
Al 0.646 0.345 0.961
Al 0.855 0.656 0.709
Al 0.855 0.844 0.209
Al 0.860 0.042 0.693
Al 0.860 0.458 0.193
Al 0.870 0.248 0.206
Al 0.870 0.252 0.706
Al 0.871 0.041 0.220
Al 0.871 0.459 0.720
Al 0.877 0.141 0.955
Al 0.877 0.359 0.455
Al 0.941 0.649 0.041
Al 0.941 0.851 0.541
O 0.001 0.059 0.852
O 0.001 0.441 0.352
O 0.005 0.743 0.631
O 0.005 0.757 0.131
O 0.008 0.050 0.362
O 0.008 0.450 0.862
O 0.009 0.656 0.869
O 0.009 0.844 0.369
O 0.020 0.646 0.376
O 0.020 0.854 0.876
O 0.241 0.649 0.711
O 0.241 0.851 0.211
O 0.244 0.238 0.206
O 0.244 0.262 0.706
O 0.245 0.056 0.710
O 0.245 0.150 0.970
O 0.245 0.350 0.470
O 0.245 0.444 0.210
O 0.248 0.556 0.447
O 0.248 0.944 0.947
O 0.249 0.053 0.200
O 0.249 0.447 0.700
O 0.253 0.651 0.218
O 0.253 0.849 0.718
O 0.255 0.738 0.455
O 0.255 0.762 0.955
O 0.259 0.552 0.961
O 0.259 0.948 0.461
O 0.260 0.150 0.461
O 0.260 0.350 0.961
O 0.480 0.148 0.128
O 0.480 0.352 0.628
O 0.492 0.153 0.620
O 0.492 0.347 0.120
O 0.493 0.550 0.608
O 0.493 0.950 0.108
O 0.495 0.243 0.383
O 0.495 0.257 0.883
O 0.498 0.559 0.105
O 0.498 0.941 0.605
O 0.502 0.059 0.395
O 0.502 0.441 0.895
O 0.505 0.743 0.117
O 0.505 0.757 0.617
O 0.507 0.050 0.892
O 0.507 0.450 0.392
O 0.508 0.653 0.880
O 0.508 0.847 0.380
O 0.520 0.648 0.372
O 0.520 0.852 0.872
O 0.740 0.650 0.039
O 0.740 0.850 0.539
O 0.741 0.052 0.539
O 0.741 0.448 0.039
O 0.745 0.238 0.045
O 0.745 0.262 0.545
O 0.747 0.151 0.282
O 0.747 0.349 0.782
O 0.751 0.553 0.300
O 0.751 0.947 0.800
O 0.752 0.056 0.053
O 0.752 0.444 0.553
O 0.755 0.556 0.790
O 0.755 0.650 0.530
O 0.755 0.850 0.030
O 0.755 0.944 0.290
O 0.756 0.738 0.294
O 0.756 0.762 0.794
O 0.759 0.149 0.789
O 0.759 0.351 0.289
O 0.980 0.146 0.124
O 0.980 0.354 0.624
O 0.991 0.156 0.631
O 0.991 0.344 0.131
O 0.992 0.550 0.138
O 0.992 0.950 0.638
O 0.995 0.243 0.869
O 0.995 0.257 0.369
O 0.999 0.559 0.648
O 0.999 0.941 0.148